This record from Materials Project describes Y6ZnSi2S14 after structural relaxation. The functional is PBE.

For the formation energy from the elements, the calculation gives -43.4 eV per formula unit. Its corrected total energy (MP2020 scheme) is -0.243 Ha/atom. As for the space-group type: P3 (143).

Cell lengths 9.936, 9.936, 5.634 Å; angles 90.00, 90.00, 120.00 degrees
Atoms (fractional coordinates):
S1 0.502 0.418 0.757
S2 0.255 0.813 0.510
S3 0.917 0.498 0.757
S4 0.000 0.000 0.539
S5 0.828 0.245 0.277
S6 0.582 0.083 0.757
S7 0.755 0.583 0.277
S8 0.559 0.745 0.510
S9 0.079 0.853 0.013
S10 0.187 0.441 0.510
S11 0.147 0.225 0.013
S12 0.333 0.667 0.036
S13 0.775 0.921 0.013
S14 0.417 0.172 0.277
Y1 0.544 0.978 0.251
Y2 0.899 0.211 0.750
Y3 0.311 0.101 0.750
Y4 0.022 0.566 0.251
Y5 0.789 0.689 0.750
Y6 0.434 0.456 0.251
Si1 0.333 0.667 0.662
Si2 0.000 0.000 0.165
Zn1 0.667 0.333 0.510